# Ce2In8Pt

An optimized crystal structure of Ce2In8Pt (GGA-PBE, Materials Project).

Output
The space group is P4/mmm. The value obtained for the total energy is -4.066 eV per atom. Its crystal system is tetragonal. The calculated formation energy is -434 meV per atom.

Cell lengths 4.7338, 4.7338, 12.2140 Å; angles 90.00, 90.00, 90.00 degrees
Closest atoms and distances in Å follow each position.
Sites, in units of the cell vectors:
Ce 0.0000 0.0000 0.6934  12 In 3.25-3.35
Ce 0.0000 0.0000 0.3066  12 In 3.25-3.35
In 0.5000 0.0000 0.8755  2 Pt 2.81, 1 In 3.04
In 0.0000 0.5000 0.8755  2 Pt 2.81, 1 In 3.04
In 0.5000 0.0000 0.1245  2 Pt 2.81, 1 In 3.04
In 0.0000 0.5000 0.1245  2 Pt 2.81, 1 In 3.04
In 0.5000 0.0000 0.5000  8 In 3.34-3.35, 4 Ce 3.34
In 0.0000 0.5000 0.5000  8 In 3.34-3.35, 4 Ce 3.34
In 0.5000 0.5000 0.6924  8 In 3.26-3.34, 4 Ce 3.35
In 0.5000 0.5000 0.3076  8 In 3.26-3.34, 4 Ce 3.35
Pt 0.0000 0.0000 0.0000  8 In 2.81

=====

# CeInPt

An optimized crystal structure of CeInPt (GGA-PBE, Materials Project).

Output
The space group is P-62m. The value obtained for the total energy is -5.839 eV per atom. Its crystal system is hexagonal. The calculated formation energy is -920 meV per atom.

Cell lengths 7.6325, 7.6325, 4.0730 Å; angles 90.00, 90.00, 120.00 degrees
Closest atoms and distances in Å follow each position.
Sites, in units of the cell vectors:
Ce 0.4124 0.0000 0.5000  5 Pt 3.07-3.15, 6 In 3.27-3.42
Ce 0.5876 0.5876 0.5000  5 Pt 3.07-3.15, 6 In 3.27-3.42
Ce 0.0000 0.4124 0.5000  5 Pt 3.07-3.15, 6 In 3.27-3.42
In 0.0000 0.7483 0.0000  4 Pt 2.80-2.91
In 0.7483 0.0000 0.0000  4 Pt 2.80-2.91
In 0.2517 0.2517 0.0000  4 Pt 2.80-2.91
Pt 0.0000 0.0000 0.5000  6 In 2.80
Pt 0.6667 0.3333 0.0000  3 In 2.91, 6 Ce 3.07
Pt 0.3333 0.6667 0.0000  3 In 2.91, 6 Ce 3.07

=====

# CeIn5Rh

An optimized crystal structure of CeIn5Rh (GGA-PBE, Materials Project).

Output
The space group is P4/mmm. The value obtained for the total energy is -4.292 eV per atom. Its crystal system is tetragonal. The calculated formation energy is -427 meV per atom.

Cell lengths 4.7094, 4.7094, 7.5927 Å; angles 90.00, 90.00, 90.00 degrees
Closest atoms and distances in Å follow each position.
Sites, in units of the cell vectors:
Ce 0.0000 0.0000 0.0000  12 In 3.29-3.33
In 0.5000 0.5000 0.0000  8 In 3.29, 4 Ce 3.33
In 0.5000 0.0000 0.6968  2 Rh 2.79, 1 In 2.99
In 0.0000 0.5000 0.3032  2 Rh 2.79, 1 In 2.99
In 0.5000 0.0000 0.3032  2 Rh 2.79, 1 In 2.99
In 0.0000 0.5000 0.6968  2 Rh 2.79, 1 In 2.99
Rh 0.0000 0.0000 0.5000  8 In 2.79

=====

# Ce2InRh2

An optimized crystal structure of Ce2InRh2 (GGA-PBE, Materials Project).

Output
The space group is P4/mbm. The value obtained for the total energy is -6.639 eV per atom. Its crystal system is tetragonal. The calculated formation energy is -769 meV per atom.

Cell lengths 7.6855, 7.6855, 3.7342 Å; angles 90.00, 90.00, 90.00 degrees
Closest atoms and distances in Å follow each position.
Sites, in units of the cell vectors:
Ce 0.6712 0.1712 0.5000  6 Rh 2.81-3.02
Ce 0.3288 0.8288 0.5000  6 Rh 2.81-3.02
Ce 0.1712 0.3288 0.5000  6 Rh 2.81-3.02
Ce 0.8288 0.6712 0.5000  6 Rh 2.81-3.02
In 0.0000 0.0000 0.0000  4 Rh 2.99
In 0.5000 0.5000 0.0000  4 Rh 2.99
Rh 0.1354 0.6354 0.0000  6 Ce 2.81-3.02, 1 Rh 2.94, 2 In 2.99
Rh 0.8646 0.3646 0.0000  6 Ce 2.81-3.02, 1 Rh 2.94, 2 In 2.99
Rh 0.6354 0.8646 0.0000  6 Ce 2.81-3.02, 1 Rh 2.94, 2 In 2.99
Rh 0.3646 0.1354 0.0000  6 Ce 2.81-3.02, 1 Rh 2.94, 2 In 2.99

=====

# Ce2In8Rh

An optimized crystal structure of Ce2In8Rh (GGA-PBE, Materials Project).

Output
The space group is P4/mmm. The value obtained for the total energy is -4.168 eV per atom. Its crystal system is tetragonal. The calculated formation energy is -419 meV per atom.

Cell lengths 4.6974, 4.6974, 12.2329 Å; angles 90.00, 90.00, 90.00 degrees
Closest atoms and distances in Å follow each position.
Sites, in units of the cell vectors:
Ce 0.0000 0.0000 0.3062  12 In 3.26-3.34
Ce 0.0000 0.0000 0.6938  12 In 3.26-3.34
In 0.0000 0.5000 0.1214  2 Rh 2.78, 1 In 2.97
In 0.0000 0.5000 0.8786  2 Rh 2.78, 1 In 2.97
In 0.5000 0.0000 0.1214  2 Rh 2.78, 1 In 2.97
In 0.5000 0.0000 0.8786  2 Rh 2.78, 1 In 2.97
In 0.5000 0.5000 0.3070  8 In 3.27-3.33, 4 Ce 3.32
In 0.5000 0.5000 0.6930  8 In 3.27-3.33, 4 Ce 3.32
In 0.0000 0.5000 0.5000  8 In 3.32-3.33, 4 Ce 3.34
In 0.5000 0.0000 0.5000  8 In 3.32-3.33, 4 Ce 3.34
Rh 0.0000 0.0000 0.0000  8 In 2.78

=====

# CeIn2Rh

An optimized crystal structure of CeIn2Rh (GGA-PBE, Materials Project).

Output
The space group is Cmcm. The value obtained for the total energy is -5.274 eV per atom. Its crystal system is orthorhombic. The calculated formation energy is -573 meV per atom.

Cell lengths 5.4954, 5.4954, 8.2132 Å; angles 90.00, 90.00, 132.55 degrees
Closest atoms and distances in Å follow each position.
Sites, in units of the cell vectors:
Ce 0.0658 0.9342 0.2500  3 Rh 2.81-3.13
Ce 0.9342 0.0658 0.7500  3 Rh 2.81-3.13
In 0.3566 0.6434 0.0503  3 Rh 2.84-2.85, 1 In 3.00
In 0.6434 0.3566 0.9497  3 Rh 2.84-2.85, 1 In 3.00
In 0.6434 0.3566 0.5503  3 Rh 2.84-2.85, 1 In 3.00
In 0.3566 0.6434 0.4497  3 Rh 2.84-2.85, 1 In 3.00
Rh 0.7861 0.2139 0.2500  3 Ce 2.81-3.13, 6 In 2.84-2.85
Rh 0.2139 0.7861 0.7500  3 Ce 2.81-3.13, 6 In 2.84-2.85